# Mg5Si6

Crystalline Mg5Si6 at its relaxed geometry (PBE, the Materials Project database).

Results
- E (MP2020): -3.53 eV per atom
- V: 199 Å³/f.u.
- Total energy: -39.2 eV/f.u.
- Total moment: 0.000 μB/atom
- Energy of formation from the pure elements: 0.16 eV/atom
- Offset from the most stable computed form: 0.094 eV per atom

Geometry as CIF:
```
data_Mg5Si6
_symmetry_space_group_name_H-M 'A m a 2'
_symmetry_Int_Tables_number 40
_cell_length_a 4.457
_cell_length_b 29.962
_cell_length_c 5.959
_cell_angle_alpha 90.00
_cell_angle_beta 90.00
_cell_angle_gamma 90.00
loop_
_symmetry_equiv_pos_as_xyz
'x,y,z'
'-x,-y,z'
'-x+1/2,y,z'
'x+1/2,-y,z'
'x,y+1/2,z+1/2'
'-x,-y+1/2,z+1/2'
'-x+1/2,y+1/2,z+1/2'
'x+1/2,-y+1/2,z+1/2'
loop_
_atom_site_label
_atom_site_type_symbol
_atom_site_fract_x
_atom_site_fract_y
_atom_site_fract_z
Mg1 Mg 0.250 0.054 0.000
Mg2 Mg 0.250 0.071 0.503
Mg3 Mg 0.250 0.153 0.117
Mg4 Mg 0.250 0.195 0.628
Mg5 Mg 0.250 0.378 0.261
Si1 Si 0.250 0.246 0.073
Si2 Si 0.250 0.285 0.453
Si3 Si 0.250 0.315 0.857
Si4 Si 0.250 0.399 0.748
Si5 Si 0.250 0.478 0.220
Si6 Si 0.250 0.482 0.801
```

# Mg5Si6

Crystalline Mg5Si6 at its relaxed geometry (PBE, the Materials Project database).

Results
- E (MP2020): -3.55 eV per atom
- V: 204 Å³/f.u.
- Total energy: -39.5 eV/f.u.
- Total moment: 0.000 μB/atom
- Energy of formation from the pure elements: 0.14 eV/atom
- Offset from the most stable computed form: 0.072 eV per atom

Geometry as CIF:
```
data_Mg5Si6
_symmetry_space_group_name_H-M 'P 1 2/m 1'
_symmetry_Int_Tables_number 10
_cell_length_a 6.799
_cell_length_b 4.067
_cell_length_c 14.727
_cell_angle_alpha 90.00
_cell_angle_beta 91.42
_cell_angle_gamma 90.00
loop_
_symmetry_equiv_pos_as_xyz
'x,y,z'
'-x,-y,-z'
'-x,y,-z'
'x,-y,z'
loop_
_atom_site_label
_atom_site_type_symbol
_atom_site_fract_x
_atom_site_fract_y
_atom_site_fract_z
Mg1 Mg 0.000 0.000 0.000
Mg2 Mg 0.171 0.500 0.145
Mg3 Mg 0.183 0.500 0.444
Mg4 Mg 0.188 0.500 0.691
Mg5 Mg 0.307 0.500 0.924
Mg6 Mg 0.500 0.000 0.500
Si1 Si 0.107 0.000 0.818
Si2 Si 0.115 0.000 0.565
Si3 Si 0.131 0.000 0.306
Si4 Si 0.391 0.000 0.063
Si5 Si 0.411 0.500 0.298
Si6 Si 0.457 0.000 0.781
```